DFT (GGA+U) results for crystalline NiSnP2O9 at its relaxed geometry.

a = 14.168 Å, b = 6.439 Å, c = 7.943 Å
α = 90.00°, β = 90.00°, γ = 90.00°
Positions (direct):
Ni  0.000  0.000  0.000
Ni  0.000  0.500  0.000
Ni  0.500  0.000  0.500
Ni  0.500  0.500  0.500
Sn  0.122  0.250  0.349
Sn  0.378  0.750  0.849
Sn  0.622  0.250  0.151
Sn  0.878  0.750  0.651
P  0.063  0.750  0.346
P  0.183  0.750  0.893
P  0.317  0.250  0.393
P  0.437  0.250  0.846
P  0.563  0.750  0.154
P  0.683  0.750  0.607
P  0.817  0.250  0.107
P  0.937  0.250  0.654
O  0.015  0.250  0.522
O  0.022  0.750  0.166
O  0.044  0.250  0.131
O  0.123  0.548  0.904
O  0.123  0.952  0.904
O  0.130  0.561  0.368
O  0.130  0.939  0.368
O  0.238  0.250  0.531
O  0.241  0.750  0.727
O  0.259  0.250  0.227
O  0.262  0.750  0.031
O  0.370  0.061  0.868
O  0.370  0.439  0.868
O  0.377  0.048  0.404
O  0.377  0.452  0.404
O  0.456  0.750  0.631
O  0.478  0.250  0.666
O  0.485  0.750  0.022
O  0.515  0.250  0.978
O  0.522  0.750  0.334
O  0.544  0.250  0.369
O  0.623  0.548  0.596
O  0.623  0.952  0.596
O  0.630  0.561  0.132
O  0.630  0.939  0.132
O  0.738  0.250  0.969
O  0.741  0.750  0.773
O  0.759  0.250  0.273
O  0.762  0.750  0.469
O  0.870  0.061  0.632
O  0.870  0.439  0.632
O  0.877  0.048  0.096
O  0.877  0.452  0.096
O  0.956  0.750  0.869
O  0.978  0.250  0.834
O  0.985  0.750  0.478

Properties
- space group = Pnma

***

DFT (GGA+U) results for crystalline VNi3Sn2P6O24 at its relaxed geometry.

a = 8.471 Å, b = 8.471 Å, c = 8.471 Å
α = 61.60°, β = 61.60°, γ = 61.60°
Positions (direct):
V  0.000  0.000  0.000
Ni  0.207  0.207  0.207
Ni  0.500  0.500  0.500
Ni  0.704  0.704  0.704
Sn  0.351  0.351  0.351
Sn  0.850  0.850  0.850
P  0.104  0.398  0.809
P  0.310  0.898  0.602
P  0.398  0.809  0.104
P  0.602  0.310  0.898
P  0.809  0.104  0.398
P  0.898  0.602  0.310
O  0.028  0.240  0.855
O  0.101  0.921  0.765
O  0.104  0.450  0.283
O  0.176  0.361  0.956
O  0.240  0.855  0.028
O  0.256  0.406  0.606
O  0.283  0.104  0.450
O  0.333  0.749  0.538
O  0.361  0.956  0.176
O  0.406  0.606  0.256
O  0.450  0.283  0.104
O  0.454  0.866  0.677
O  0.538  0.333  0.749
O  0.600  0.786  0.948
O  0.606  0.256  0.406
O  0.677  0.454  0.866
O  0.749  0.538  0.333
O  0.765  0.101  0.921
O  0.786  0.948  0.600
O  0.855  0.028  0.240
O  0.866  0.677  0.454
O  0.921  0.765  0.101
O  0.948  0.600  0.786
O  0.956  0.176  0.361

Properties
- space group = R3

***

Q: Which V values were calculated for the entries above? A: 13.934; 12.369, in A^3/atom.
Q: Which E_tot values were calculated for the entries above? A: -6.283; -6.720, in eV per atom.
Q: Which corrected total energy (MP2020 scheme) values were calculated for the entries above? A: -6.95; -7.44, in eV per atom.